Entry a
LiCu5P2O8 | PBE | relaxed

Cell and atoms, written as POSCAR:
```
LiCu5P2O8
1.0
5.150 0.000 0.000
0.000 6.195 0.000
-0.201 0.000 5.688
Li Cu P O
1 5 2 8
Cartesian
0.000 0.000 0.000
2.297 3.098 3.313
2.607 1.616 1.271
2.607 4.579 1.271
4.785 1.837 2.853
4.785 4.358 2.853
0.052 3.098 0.164
2.383 0.000 4.013
1.596 3.098 0.152
1.815 1.225 3.199
1.815 4.970 3.199
1.786 0.000 5.451
3.933 0.000 4.006
4.429 3.098 4.409
4.673 1.781 0.855
4.673 4.414 0.855
```



Entry b
LiCu5P2O8 | PBE | relaxed

Cell and atoms, written as POSCAR:
```
LiCu5P2O8
1.0
5.510 0.000 0.000
-0.047 6.260 0.000
-0.019 -0.006 10.464
Li Cu P O
2 10 4 16
Cartesian
0.000 0.000 0.000
1.853 6.237 2.588
0.008 3.072 10.439
0.044 3.081 5.224
0.100 0.023 5.254
1.805 3.153 7.862
1.841 3.165 2.574
1.808 6.205 7.888
2.630 4.703 5.238
2.635 4.654 10.434
4.705 1.580 7.850
4.735 1.545 2.592
2.744 1.501 0.047
2.736 1.544 5.207
4.626 4.736 2.600
4.625 4.703 7.890
1.920 0.253 9.990
2.004 2.832 4.685
2.027 0.288 4.589
2.022 2.785 9.956
2.690 1.501 1.600
2.715 1.521 6.760
3.151 4.778 2.097
3.174 4.680 7.333
4.192 1.445 9.997
4.198 1.565 4.676
4.650 4.721 4.155
4.663 4.734 9.442
5.334 3.434 2.067
5.356 3.427 7.345
5.339 5.982 7.332
5.417 5.961 2.028
```



Entry c
LiCu5P2O8 | PBE | relaxed

Cell and atoms, written as POSCAR:
```
LiCu5P2O8
1.0
5.614 0.000 0.000
0.116 6.228 0.000
0.043 0.048 10.365
Li Cu P O
2 10 4 16
Cartesian
0.000 0.000 0.000
1.059 1.591 7.806
0.620 1.631 2.634
3.247 4.712 5.293
3.250 4.666 0.114
3.851 6.216 2.566
3.870 3.136 2.576
3.912 3.446 7.910
3.965 6.050 7.819
5.522 3.187 0.052
5.588 3.082 5.165
5.548 0.106 5.150
0.953 4.724 7.778
0.994 4.730 2.533
2.790 1.563 10.277
2.790 1.609 5.195
0.238 6.003 3.060
0.219 3.495 3.110
0.287 6.015 8.372
0.258 3.397 8.283
0.953 4.748 6.234
0.947 4.715 0.987
1.290 1.465 0.442
1.378 1.619 5.837
2.406 4.709 8.335
2.433 4.722 3.092
2.744 1.607 3.648
2.823 1.598 8.735
3.488 2.771 0.501
3.556 0.343 5.720
3.601 2.843 5.725
3.601 0.300 0.433
```



Entry d
LiCu5P2O8 | PBE | relaxed

Cell and atoms, written as POSCAR:
```
LiCu5P2O8
1.0
5.662 0.000 0.000
0.000 6.205 0.000
-0.136 0.000 10.341
Li Cu P O
2 10 4 16
Cartesian
0.000 0.000 0.000
1.593 3.103 2.578
2.167 3.103 7.680
2.713 1.593 5.224
2.713 4.613 5.224
2.721 1.768 10.239
2.721 4.437 10.239
4.333 1.775 7.794
4.333 4.431 7.794
4.447 1.241 2.509
4.447 4.964 2.509
4.981 0.000 5.037
1.510 0.000 7.853
1.761 0.000 2.620
5.527 3.103 0.134
5.493 3.103 5.187
0.051 0.000 7.355
0.340 0.000 1.948
1.243 3.103 4.548
1.189 3.103 9.944
1.651 0.000 4.169
1.609 0.000 9.409
2.319 1.222 7.278
2.319 4.983 7.278
2.478 1.310 2.122
2.478 4.895 2.122
4.675 1.867 4.669
4.675 4.338 4.669
4.700 1.795 9.924
4.700 4.410 9.924
5.472 3.103 1.687
5.563 3.103 6.739
```



The data favor entry a; the next most stable structure lies 0.6 kJ/mol of atoms above it.